Record 1
Computed, not measured: crystalline Mn2CuO4 at its relaxed geometry at the GGA+U level of DFT.

Lattice parameters (Å, degrees): 6.0591 6.0591 14.7841 90.00 90.00 120.00
With the nearest neighbours (Å) after each atom.
Fractional coordinates of all 42 atoms:
Mn1 0.6646 0.8323 0.7916  6 O 2.00-2.08
Mn2 0.1677 0.8323 0.7916  6 O 2.00-2.08
Mn3 0.4997 0.9995 0.1262  6 O 2.00-2.09
Mn4 0.8346 0.1654 0.4579  6 O 2.00-2.06
Mn5 0.8346 0.6693 0.4579  6 O 2.00-2.06
Mn6 0.0000 0.0000 0.0023  4 O 2.01-2.04
Mn7 0.6667 0.3333 0.2927  6 O 2.05-2.06
Mn8 0.3307 0.1654 0.4579  6 O 2.00-2.06
Mn9 0.6667 0.3333 0.6695  4 O 2.04-2.05
Mn10 0.1677 0.3354 0.7916  6 O 2.00-2.08
Mn11 0.0005 0.5003 0.1262  6 O 2.00-2.09
Mn12 0.4997 0.5003 0.1262  6 O 2.00-2.09
O1 0.0290 0.5145 0.8660  2 Mn 2.00, 2 Cu 2.04-2.10
O2 0.3333 0.6667 0.7140  1 Cu 1.98, 3 Mn 2.08
O3 0.9687 0.4844 0.3803  1 Cu 2.03, 3 Mn 2.04-2.05
O4 0.3656 0.1828 0.2031  3 Mn 2.02-2.06, 1 Cu 2.04
O5 0.8494 0.6987 0.7170  3 Mn 2.01-2.04, 1 Cu 2.10
O6 0.5156 0.0313 0.3803  1 Cu 2.03, 3 Mn 2.04-2.05
O7 0.6364 0.8182 0.0520  3 Mn 2.00-2.04, 1 Cu 2.11
O8 0.1818 0.8182 0.0520  3 Mn 2.00-2.04, 1 Cu 2.11
O9 0.8494 0.1506 0.7170  3 Mn 2.01-2.04, 1 Cu 2.10
O10 0.6944 0.8472 0.5324  2 Mn 2.00, 2 Cu 2.02-2.10
O11 0.8172 0.6344 0.2031  3 Mn 2.02-2.06, 1 Cu 2.04
O12 0.1528 0.8472 0.5324  2 Mn 2.00, 2 Cu 2.02-2.10
O13 0.8172 0.1828 0.2031  3 Mn 2.02-2.06, 1 Cu 2.04
O14 0.6667 0.3333 0.0496  1 Cu 1.98, 3 Mn 2.09
O15 0.4855 0.9710 0.8660  2 Mn 2.00, 2 Cu 2.04-2.10
O16 0.3333 0.6667 0.2016  1 Cu 1.95, 3 Mn 2.07
O17 0.0000 0.0000 0.8660  4 Mn 2.01-2.08
O18 0.0000 0.0000 0.3832  1 Cu 1.97, 3 Mn 2.06
O19 0.5156 0.4844 0.3803  1 Cu 2.03, 3 Mn 2.04-2.05
O20 0.6667 0.3333 0.5306  4 Mn 2.05-2.06
O21 0.3013 0.1506 0.7170  3 Mn 2.01-2.04, 1 Cu 2.10
O22 0.1818 0.3636 0.0520  3 Mn 2.00-2.04, 1 Cu 2.11
O23 0.1528 0.3056 0.5324  2 Mn 2.00, 2 Cu 2.02-2.10
O24 0.4855 0.5145 0.8660  2 Mn 2.00, 2 Cu 2.04-2.10
Cu1 0.3333 0.6667 0.5804  4 O 1.98-2.02
Cu2 0.3333 0.6667 0.3336  4 O 1.95-2.03
Cu3 0.0000 0.0000 0.6237  6 O 2.10
Cu4 0.0000 0.0000 0.2498  4 O 1.97-2.04
Cu5 0.3333 0.6667 0.9581  6 O 2.10-2.11
Cu6 0.6667 0.3333 0.9155  4 O 1.98-2.04

Summary:
relative energy among the computed polymorphs = 3.4 kJ/mol of atoms
ρ = 5.0 g cm⁻³
space-group type = P3m1, No. 156

Record 2
Computed, not measured: crystalline MgFe8O8F8 at its relaxed geometry at the GGA+U level of DFT.

Lattice parameters (Å, degrees): 9.7342 10.1687 3.0975 90.00 90.00 90.74
With the nearest neighbours (Å) after each atom.
Fractional coordinates of all 25 atoms:
F1 0.4109 0.5685 0.5000  1 Mg 1.95, 2 Fe 2.15
F2 0.3897 0.8354 0.0000  2 Mg 1.98
F3 0.8975 0.1068 0.5000  3 Fe 2.14-2.15
F4 0.6661 0.1673 0.0000  3 Fe 2.08-2.18
F5 0.8364 0.8167 0.0000  2 Fe 2.04
F6 0.3631 0.3454 0.0000  3 Fe 2.08-2.17
F7 0.5960 0.9152 0.5000  1 Mg 2.03, 2 Fe 2.14
F8 0.4027 0.1181 0.5000  3 Fe 2.06-2.25
Fe1 0.7677 0.7024 0.5000  1 O 1.81
Fe2 0.5288 0.4772 0.0000  3 O 1.92-2.08, 3 F 2.08-2.15
Fe3 0.0275 0.0312 0.0000  3 O 1.87-1.93
Fe4 0.7726 0.2790 0.5000  3 O 1.90-2.00
Fe5 0.2307 0.2638 0.5000  3 O 1.85-1.96
Fe6 0.0118 0.4859 0.0000  6 O 1.95-2.13
Fe7 0.5058 0.0302 0.0000  6 F 2.06-2.27
Fe8 0.1226 0.7447 0.5000  3 O 1.88-1.95
Mg1 0.4780 0.7496 0.5000  4 F 1.95-2.03
O1 0.8651 0.3435 0.0000  3 Fe 1.90-2.02
O2 0.6140 0.4021 0.5000  3 Fe 1.92-2.00
O3 0.0814 0.9316 0.5000  3 Fe 1.93-1.95
O4 0.6195 0.6631 0.0000  3 Fe 2.08-2.15, 2 Mg 2.26
O5 0.1330 0.6397 0.0000  3 Fe 1.88-1.95
O6 0.1093 0.4025 0.5000  3 Fe 1.85-2.01
O7 0.8958 0.5756 0.5000  1 Fe 1.81
O8 0.1600 0.1664 0.0000  3 Fe 1.87-1.96

Summary:
relative energy among the computed polymorphs = 3.2 kJ/mol of atoms
ρ = 4.1 g cm⁻³
space-group type = Pm, No. 6

Record 3
Computed, not measured: crystalline FeAuO2 at its relaxed geometry at the GGA+U level of DFT.

Lattice parameters (Å, degrees): 5.3564 6.2026 7.1658 64.35 75.61 90.00
With the nearest neighbours (Å) after each atom.
Fractional coordinates of all 16 atoms:
O1 0.6123 0.4183 0.1627  3 Fe 2.05, 1 Au 2.09
O2 0.3877 0.5810 0.8373  3 Fe 2.05, 1 Au 2.09
O3 0.6123 0.9183 0.1627  3 Fe 2.05, 1 Au 2.09
O4 0.8877 0.8317 0.8373  3 Fe 2.05, 1 Au 2.09
O5 0.1123 0.6690 0.1627  3 Fe 2.05, 1 Au 2.09
O6 0.8877 0.3317 0.8373  3 Fe 2.05, 1 Au 2.09
O7 0.1123 0.1690 0.1627  3 Fe 2.05, 1 Au 2.09
O8 0.3877 0.0810 0.8373  3 Fe 2.05, 1 Au 2.09
Fe1 0.5000 0.7497 0.0000  6 O 2.05
Fe2 0.5000 0.2497 0.0000  6 O 2.05
Fe3 0.0000 0.0003 0.0000  6 O 2.05
Fe4 0.0000 0.5003 0.0000  6 O 2.05
Au1 0.0000 0.9999 0.5000  2 O 2.09
Au2 0.5000 0.2501 0.5000  2 O 2.09
Au3 0.0000 0.4999 0.5000  2 O 2.09
Au4 0.5000 0.7501 0.5000  2 O 2.09

Summary:
DFT total energy = -5.6578 eV per atom
ρ = 9.2 g cm⁻³

What is the ρ in the first record? 5.0 g cm⁻³

Please write out number 2 again, unchanged.
Computed, not measured: crystalline MgFe8O8F8 at its relaxed geometry at the GGA+U level of DFT.

Lattice parameters (Å, degrees): 9.7342 10.1687 3.0975 90.00 90.00 90.74
With the nearest neighbours (Å) after each atom.
Fractional coordinates of all 25 atoms:
F1 0.4109 0.5685 0.5000  1 Mg 1.95, 2 Fe 2.15
F2 0.3897 0.8354 0.0000  2 Mg 1.98
F3 0.8975 0.1068 0.5000  3 Fe 2.14-2.15
F4 0.6661 0.1673 0.0000  3 Fe 2.08-2.18
F5 0.8364 0.8167 0.0000  2 Fe 2.04
F6 0.3631 0.3454 0.0000  3 Fe 2.08-2.17
F7 0.5960 0.9152 0.5000  1 Mg 2.03, 2 Fe 2.14
F8 0.4027 0.1181 0.5000  3 Fe 2.06-2.25
Fe1 0.7677 0.7024 0.5000  1 O 1.81
Fe2 0.5288 0.4772 0.0000  3 O 1.92-2.08, 3 F 2.08-2.15
Fe3 0.0275 0.0312 0.0000  3 O 1.87-1.93
Fe4 0.7726 0.2790 0.5000  3 O 1.90-2.00
Fe5 0.2307 0.2638 0.5000  3 O 1.85-1.96
Fe6 0.0118 0.4859 0.0000  6 O 1.95-2.13
Fe7 0.5058 0.0302 0.0000  6 F 2.06-2.27
Fe8 0.1226 0.7447 0.5000  3 O 1.88-1.95
Mg1 0.4780 0.7496 0.5000  4 F 1.95-2.03
O1 0.8651 0.3435 0.0000  3 Fe 1.90-2.02
O2 0.6140 0.4021 0.5000  3 Fe 1.92-2.00
O3 0.0814 0.9316 0.5000  3 Fe 1.93-1.95
O4 0.6195 0.6631 0.0000  3 Fe 2.08-2.15, 2 Mg 2.26
O5 0.1330 0.6397 0.0000  3 Fe 1.88-1.95
O6 0.1093 0.4025 0.5000  3 Fe 1.85-2.01
O7 0.8958 0.5756 0.5000  1 Fe 1.81
O8 0.1600 0.1664 0.0000  3 Fe 1.87-1.96

Summary:
relative energy among the computed polymorphs = 3.2 kJ/mol of atoms
ρ = 4.1 g cm⁻³
space-group type = Pm, No. 6

The lowest ρ belongs to which entry? MgFe8O8F8

Number 2 is which compound? MgFe8O8F8